# CrXeF10 | Materials Project | PBE with a Hubbard U | optimized geometry
data_CrXeF10
_chemical_formula_sum 'Cr16 Xe16 F160'
_cell_length_a 8.670
_cell_length_b 18.999
_cell_length_c 19.053
_cell_angle_alpha 90.00
_cell_angle_beta 90.00
_cell_angle_gamma 90.00
_symmetry_space_group_name_H-M 'P b c a'
_symmetry_Int_Tables_number 61
_symmetry_space_group_name_Hall '-P 2ac 2ab'
loop_
_atom_site_label
_atom_site_fract_x
_atom_site_fract_y
_atom_site_fract_z
Cr1 0.050 0.167 0.165
Cr2 0.178 0.070 0.328
Xe1 0.232 0.226 0.900
Xe2 0.249 0.533 0.623
F1 0.005 0.243 0.893
F2 0.033 0.548 0.166
F3 0.044 0.690 0.421
F4 0.076 0.579 0.673
F5 0.076 0.671 0.915
F6 0.092 0.510 0.551
F7 0.093 0.728 0.298
F8 0.098 0.017 0.548
F9 0.102 0.594 0.320
F10 0.108 0.091 0.680
F11 0.131 0.145 0.259
F12 0.150 0.139 0.942
F13 0.160 0.142 0.392
F14 0.171 0.097 0.125
F15 0.192 0.232 0.156
F16 0.201 0.169 0.812
F17 0.205 0.013 0.252
F18 0.226 0.245 0.500
F19 0.227 0.006 0.391
F20 0.238 0.623 0.572
# - theoretical density (g/cm3) = 3.16
# - total moment (μB/cell) = 32.02
# - MP2020-corrected energy (Ha/atom) = -0.145